1.
Material: Ba3Ta2CdO9
Method: DFT, PBE
State: optimized geometry

## Properties
* E_tot: -116.30 eV per cell
* MP2020-corrected energy: -122.5 eV/cell
* formation energy from the elements: -3.17 eV/atom
* calculated volume: 15.06 Å³/atom
* magnetic moment: 0.000 μB/atom

Unit cell a=5.9521 b=5.9521 c=7.3648 alpha=90.00 beta=90.00 gamma=120.00
Last column: nearest neighbours and their distance in Å.
Atoms (fractional coordinates):
O: 0.8231 0.6462 0.6876  1 Ta 1.93
Cd: 0.0000 0.0000 0.5000  6 O 2.29
Ba: 0.3333 0.6667 0.6650  12 O 2.98-3.06
O: 0.6462 0.8231 0.3124  1 Ta 1.93
O: 0.1769 0.8231 0.3124  1 Ta 1.93
O: 0.1769 0.3538 0.3124  1 Ta 1.93
O: 0.5000 0.5000 0.0000  2 Ta 2.12
O: 0.8231 0.1769 0.6876  1 Ta 1.93
O: 0.0000 0.5000 0.0000  2 Ta 2.12
Ta: 0.6667 0.3333 0.8323  6 O 1.93-2.12
Ba: 0.6667 0.3333 0.3350  12 O 2.98-3.06
O: 0.3538 0.1769 0.6876  1 Ta 1.93
O: 0.5000 0.0000 0.0000  2 Ta 2.12
Ta: 0.3333 0.6667 0.1677  6 O 1.93-2.12
Ba: 0.0000 0.0000 0.0000  12 O 2.94-2.98

2.
Material: Ba2UCdO6
Method: DFT, PBE
State: optimized geometry

## Properties
* E_tot: -72.72 eV per cell
* MP2020-corrected energy: -76.8 eV/cell
* formation energy from the elements: -3.11 eV/atom
* calculated volume: 16.78 Å³/atom
* magnetic moment: 0.000 μB/atom

Unit cell a=6.1909 b=6.1909 c=6.1909 alpha=60.00 beta=60.00 gamma=60.00
Last column: nearest neighbours and their distance in Å.
Atoms (fractional coordinates):
Ba: 0.2500 0.2500 0.2500  12 O 3.10
Cd: 0.5000 0.5000 0.5000  6 O 2.29
O: 0.2382 0.2382 0.7618  1 U 2.09, 1 Cd 2.29
O: 0.7618 0.2382 0.7618  1 U 2.09, 1 Cd 2.29
Ba: 0.7500 0.7500 0.7500  12 O 3.10
O: 0.2382 0.7618 0.7618  1 U 2.09, 1 Cd 2.29
O: 0.7618 0.7618 0.2382  1 U 2.09, 1 Cd 2.29
U: 0.0000 0.0000 0.0000  6 O 2.09
O: 0.7618 0.2382 0.2382  1 U 2.09, 1 Cd 2.29
O: 0.2382 0.7618 0.2382  1 U 2.09, 1 Cd 2.29

3.
Material: BaCd2P2
Method: DFT, PBE
State: optimized geometry

## Properties
* E_tot: -17.50 eV per cell
* formation energy from the elements: -0.58 eV/atom
* calculated volume: 26.32 Å³/atom

Unit cell a=4.4620 b=4.4620 c=7.6331 alpha=90.00 beta=90.00 gamma=120.00
Last column: nearest neighbours and their distance in Å.
Atoms (fractional coordinates):
P: 0.3333 0.6667 0.7335  4 Cd 2.69-2.78
Ba: 0.0000 0.0000 0.0000  6 P 3.28
P: 0.6667 0.3333 0.2665  4 Cd 2.69-2.78
Cd: 0.6667 0.3333 0.6309  4 P 2.69-2.78
Cd: 0.3333 0.6667 0.3691  4 P 2.69-2.78

4.
Material: BaCd2Pt
Method: DFT, PBE
State: optimized geometry

## Properties
* E_tot: -23.76 eV per cell
* formation energy from the elements: -0.51 eV/atom
* calculated volume: 27.19 Å³/atom

Unit cell a=6.1076 b=6.1076 c=8.4745 alpha=90.00 beta=90.00 gamma=136.51
Last column: nearest neighbours and their distance in Å.
Atoms (fractional coordinates):
Cd: 0.1608 0.8392 0.9443  3 Pt 2.89-2.91, 2 Cd 3.18
Ba: 0.4410 0.5590 0.7500  3 Pt 3.20-3.35, 2 Cd 3.58
Cd: 0.1608 0.8392 0.5557  3 Pt 2.89-2.91, 2 Cd 3.18
Pt: 0.2771 0.7229 0.2500  6 Cd 2.89-2.91, 1 Ba 3.20
Pt: 0.7229 0.2771 0.7500  6 Cd 2.89-2.91, 1 Ba 3.20
Ba: 0.5590 0.4410 0.2500  3 Pt 3.20-3.35, 2 Cd 3.58
Cd: 0.8392 0.1608 0.4443  3 Pt 2.89-2.91, 2 Cd 3.18
Cd: 0.8392 0.1608 0.0557  3 Pt 2.89-2.91, 2 Cd 3.18

5.
Material: Ba4Sm2Cd3S10
Method: DFT, PBE
State: optimized geometry

## Properties
* E_tot: -184.18 eV per cell
* MP2020-corrected energy: -194.2 eV/cell
* formation energy from the elements: -1.89 eV/atom
* calculated volume: 27.49 Å³/atom
* magnetic moment: 0.000 μB/atom

Unit cell a=9.3975 b=9.3975 c=27.0273 alpha=90.00 beta=90.00 gamma=154.04
Last column: nearest neighbours and their distance in Å.
Atoms (fractional coordinates):
S: 0.6525 0.3475 0.9900  2 Cd 2.57, 1 Sm 2.86
S: 0.7924 0.2076 0.6314  2 Cd 2.55-2.71
S: 0.5902 0.4098 0.6832  2 Sm 2.85, 3 Ba 3.13-3.18
S: 0.3448 0.6552 0.0186  2 Cd 2.61, 1 Sm 2.84
Cd: 0.7825 0.2175 0.7315  4 S 2.49-2.71
Ba: 0.1632 0.8368 0.6105  7 S 3.18-3.38
Ba: 0.4241 0.5759 0.6566  7 S 3.13-3.33
Ba: 0.8368 0.1632 0.1105  7 S 3.18-3.38
Cd: 0.8460 0.1540 0.5443  4 S 2.55-2.70
S: 0.7669 0.2331 0.2670  2 Cd 2.49
S: 0.0169 0.9831 0.4322  1 Cd 2.74, 2 Sm 2.80
S: 0.5766 0.4234 0.8221  2 Sm 2.81
Cd: 0.1597 0.8403 0.4621  4 S 2.46-2.74
Cd: 0.1540 0.8460 0.0443  4 S 2.55-2.70
S: 0.4234 0.5766 0.3221  2 Sm 2.81
S: 0.2112 0.7888 0.3782  1 Cd 2.46
Ba: 0.8373 0.1627 0.3909  7 S 3.15-3.47
S: 0.0120 0.9880 0.0718  1 Cd 2.70, 2 Sm 2.88
Cd: 0.8403 0.1597 0.9621  4 S 2.46-2.74
S: 0.4098 0.5902 0.1832  2 Sm 2.85, 3 Ba 3.13-3.18
Sm: 0.5028 0.4972 0.4997  6 S 2.80-2.88
S: 0.6552 0.3448 0.5186  2 Cd 2.61, 1 Sm 2.84
S: 0.7888 0.2112 0.8782  1 Cd 2.46
Cd: 0.2175 0.7825 0.2315  4 S 2.49-2.71
S: 0.2331 0.7669 0.7670  2 Cd 2.49
S: 0.0740 0.9260 0.2470  1 Cd 2.66, 1 Sm 2.82
Ba: 0.5959 0.4041 0.3388  5 S 3.17-3.28
S: 0.9260 0.0740 0.7470  1 Cd 2.66, 1 Sm 2.82
Ba: 0.5759 0.4241 0.1566  7 S 3.13-3.33
Sm: 0.0797 0.9203 0.7536  6 S 2.81-2.85
S: 0.9880 0.0120 0.5718  1 Cd 2.70, 2 Sm 2.88
Ba: 0.1627 0.8373 0.8909  7 S 3.15-3.47
Sm: 0.9203 0.0797 0.2536  6 S 2.81-2.85
S: 0.9831 0.0169 0.9322  1 Cd 2.74, 2 Sm 2.80
Ba: 0.4041 0.5959 0.8388  5 S 3.17-3.28
Sm: 0.4972 0.5028 0.9997  6 S 2.80-2.88
S: 0.2076 0.7924 0.1314  2 Cd 2.55-2.71
S: 0.3475 0.6525 0.4900  2 Cd 2.57, 1 Sm 2.86

6.
Material: Ba3CdSn2S8
Method: DFT, PBE
State: optimized geometry

## Properties
* E_tot: -258.57 eV per cell
* MP2020-corrected energy: -274.7 eV/cell
* formation energy from the elements: -1.49 eV/atom
* calculated volume: 29.89 Å³/atom
* magnetic moment: 0.000 μB/atom

Unit cell a=12.9553 b=12.9553 c=12.9553 alpha=109.54 beta=109.54 gamma=109.34
Last column: nearest neighbours and their distance in Å.
Atoms (fractional coordinates):
S: 0.1625 0.7205 0.2688  1 Sn 2.38
Sn: 0.0854 0.3800 0.2574  4 S 2.38-2.48
S: 0.8544 0.6030 0.9768  1 Sn 2.39
Ba: 0.3935 0.6250 0.2685  6 S 3.20-3.32
S: 0.2983 0.5295 0.9419  1 Sn 2.38
Ba: 0.8750 0.6065 0.2315  6 S 3.20-3.32
S: 0.5875 0.3563 0.0581  1 Sn 2.38
S: 0.9763 0.9030 0.2923  1 Sn 2.48, 1 Cd 2.58
S: 0.1223 0.1456 0.7486  1 Sn 2.39
S: 0.3970 0.3737 0.2514  1 Sn 2.39
S: 0.3530 0.1044 0.4768  1 Sn 2.39
S: 0.8215 0.0519 0.8998  1 Sn 2.48, 1 Cd 2.59
S: 0.4340 0.8607 0.2077  1 Sn 2.48, 1 Cd 2.58
S: 0.4705 0.4125 0.7688  1 Sn 2.38
Ba: 0.3750 0.6435 0.7685  6 S 3.20-3.32
Ba: 0.8750 0.8915 0.5165  6 S 3.18-3.39
S: 0.5980 0.1981 0.2696  1 Sn 2.48, 1 Cd 2.59
Ba: 0.3565 0.1250 0.7315  6 S 3.20-3.32
S: 0.1520 0.9216 0.1002  1 Sn 2.48, 1 Cd 2.59
Ba: 0.6056 0.1056 0.5000  8 S 3.18-3.55
S: 0.8956 0.3723 0.2486  1 Sn 2.39
S: 0.0784 0.1785 0.2304  1 Sn 2.48, 1 Cd 2.59
Cd: 0.8750 0.2498 0.8748  4 S 2.58-2.59
Sn: 0.6200 0.8774 0.7053  4 S 2.38-2.48
S: 0.9481 0.8480 0.7696  1 Sn 2.48, 1 Cd 2.59
S: 0.0970 0.3893 0.0733  1 Sn 2.48, 1 Cd 2.58
S: 0.6716 0.4020 0.6002  1 Sn 2.48, 1 Cd 2.59
S: 0.1063 0.8375 0.5581  1 Sn 2.38
S: 0.4517 0.8937 0.7312  1 Sn 2.38
S: 0.6437 0.7017 0.2312  1 Sn 2.38
Cd: 0.9998 0.1250 0.3748  4 S 2.58-2.59
Ba: 0.1085 0.6250 0.9835  6 S 3.18-3.39
Sn: 0.1300 0.3354 0.7574  4 S 2.38-2.48
Sn: 0.6646 0.4220 0.7947  4 S 2.38-2.48
S: 0.3160 0.0237 0.9267  1 Sn 2.48, 1 Cd 2.58
Cd: 0.3750 0.0002 0.1252  4 S 2.58-2.59
Sn: 0.1226 0.8280 0.7426  4 S 2.38-2.48
Ba: 0.3750 0.3585 0.4835  6 S 3.18-3.39
Ba: 0.8944 0.3944 0.5000  8 S 3.18-3.55
Ba: 0.6415 0.1250 0.0165  6 S 3.18-3.39
Sn: 0.5780 0.3726 0.2426  4 S 2.38-2.48
S: 0.7737 0.5660 0.4267  1 Sn 2.48, 1 Cd 2.58
S: 0.1393 0.3470 0.5733  1 Sn 2.48, 1 Cd 2.58
S: 0.2795 0.5483 0.4419  1 Sn 2.38
S: 0.8019 0.0715 0.3998  1 Sn 2.48, 1 Cd 2.59
S: 0.6530 0.2263 0.7923  1 Sn 2.48, 1 Cd 2.58
Sn: 0.6274 0.8700 0.2053  4 S 2.38-2.48
S: 0.6263 0.8777 0.0232  1 Sn 2.39
S: 0.6277 0.8763 0.5232  1 Sn 2.39
Ba: 0.1444 0.1444 0.0000  8 S 3.18-3.55
S: 0.9285 0.3284 0.7304  1 Sn 2.48, 1 Cd 2.59
S: 0.1237 0.6470 0.7514  1 Sn 2.39
Ba: 0.8556 0.8556 0.0000  8 S 3.18-3.55
Sn: 0.1720 0.9146 0.2947  4 S 2.38-2.48
Cd: 0.7502 0.6250 0.6252  4 S 2.58-2.59
S: 0.6107 0.6840 0.7077  1 Sn 2.48, 1 Cd 2.58

7.
Material: Ba3Cd2Sb4
Method: DFT, PBE
State: optimized geometry

## Properties
* E_tot: -31.05 eV per cell
* MP2020-corrected energy: -31.8 eV/cell
* formation energy from the elements: -0.86 eV/atom
* calculated volume: 36.15 Å³/atom

Unit cell a=4.9384 b=7.8292 c=9.4084 alpha=111.25 beta=105.22 gamma=90.00
Last column: nearest neighbours and their distance in Å.
Atoms (fractional coordinates):
Ba: 0.1421 0.5906 0.2842  7 Sb 3.59-3.81, 3 Cd 3.76-3.84
Ba: 0.8579 0.4094 0.7158  7 Sb 3.59-3.81, 3 Cd 3.76-3.84
Cd: 0.6681 0.9717 0.3363  4 Sb 2.96-3.02
Sb: 0.5021 0.6855 0.0042  1 Sb 2.88, 1 Cd 3.01
Ba: 0.0000 0.0000 0.0000  6 Sb 3.49-3.50
Sb: 0.7924 0.8026 0.5849  3 Cd 2.96-3.02
Cd: 0.3319 0.0283 0.6637  4 Sb 2.96-3.02
Sb: 0.2076 0.1974 0.4151  3 Cd 2.96-3.02
Sb: 0.4979 0.3145 0.9958  1 Sb 2.88, 1 Cd 3.01

8.
Material: Ba2Cd2Sb3
Method: DFT, PBE
State: optimized geometry

## Properties
* E_tot: -45.80 eV per cell
* MP2020-corrected energy: -46.9 eV/cell
* formation energy from the elements: -0.77 eV/atom
* calculated volume: 35.29 Å³/atom

Unit cell a=9.4966 b=9.4966 c=13.6773 alpha=54.63 beta=54.63 gamma=30.02
Last column: nearest neighbours and their distance in Å.
Atoms (fractional coordinates):
Cd: 0.4088 0.4088 0.6540  4 Sb 2.94-3.09
Ba: 0.3981 0.3981 0.9442  7 Sb 3.59-3.78, 3 Cd 3.76-3.85
Cd: 0.0412 0.0412 0.6894  4 Sb 2.95-3.03
Ba: 0.2641 0.2641 0.3374  6 Sb 3.50-3.57
Ba: 0.7359 0.7359 0.6626  6 Sb 3.50-3.57
Sb: 0.9201 0.9201 0.1244  1 Sb 2.87, 1 Cd 3.03
Sb: 0.3867 0.3867 0.4584  4 Cd 2.94-3.09
Sb: 0.0799 0.0799 0.8756  1 Sb 2.87, 1 Cd 3.03
Sb: 0.8442 0.8442 0.8048  3 Cd 2.95-2.96
Sb: 0.1558 0.1558 0.1952  3 Cd 2.95-2.96
Ba: 0.6019 0.6019 0.0558  7 Sb 3.59-3.78, 3 Cd 3.76-3.85
Sb: 0.6133 0.6133 0.5416  4 Cd 2.94-3.09
Cd: 0.5912 0.5912 0.3460  4 Sb 2.94-3.09
Cd: 0.9588 0.9588 0.3106  4 Sb 2.95-3.03